{
  "formula": "MgFeAg2SnS4",
  "functional": "PBE-GGA",
  "state": "relaxed",
  "relative_energy_ev_per_fu": 0.00,
  "ef_mev_per_atom": -548.1,
  "space_group": "C2",
  "volume_a3_per_cell": 209.9,
  "lattice_angstrom": [[5.194, -0.023, -2.397], [-1.317, 5.862, -2.775], [0.129, -0.347, 7.043]],
  "species": ["Ag", "Ag", "Mg", "S", "S", "S", "S", "Sn", "Fe"],
  "fractional_positions": [[0.226, 0.725, 0.451], [0.774, 0.274, 0.549], [0.501, 0.001, 0.002], [0.894, 0.915, 0.245], [0.351, 0.330, 0.245], [0.652, 0.083, 0.756], [0.104, 0.673, 0.756], [0.497, 0.498, 0.995], [0.000, 0.000, 0.000]]
}